[1]
## CaMgV2O7 (PBE with a Hubbard U)

Data for CaMgV2O7 after structural relaxation.

Lattice parameters (Å, degrees): 6.842 14.685 11.438 90.00 99.42 90.00
Fractional positions:
Ca: 0.078 0.008 0.228
Ca: 0.078 0.492 0.728
Ca: 0.326 0.129 0.971
Ca: 0.326 0.371 0.471
Ca: 0.674 0.629 0.529
Ca: 0.674 0.871 0.029
Ca: 0.922 0.508 0.272
Ca: 0.922 0.992 0.772
Mg: 0.003 0.246 0.247
Mg: 0.003 0.254 0.747
Mg: 0.363 0.674 0.926
Mg: 0.363 0.826 0.426
Mg: 0.637 0.174 0.574
Mg: 0.637 0.326 0.074
Mg: 0.997 0.746 0.253
Mg: 0.997 0.754 0.753
V: 0.132 0.136 0.516
V: 0.132 0.364 0.016
V: 0.159 0.629 0.519
V: 0.159 0.871 0.019
V: 0.416 0.514 0.187
V: 0.416 0.986 0.687
V: 0.491 0.705 0.207
V: 0.491 0.795 0.707
V: 0.509 0.205 0.293
V: 0.509 0.295 0.793
V: 0.584 0.014 0.313
V: 0.584 0.486 0.813
V: 0.841 0.129 0.981
V: 0.841 0.371 0.481
V: 0.868 0.636 0.984
V: 0.868 0.864 0.484
O: 0.005 0.641 0.383
O: 0.005 0.859 0.883
O: 0.010 0.644 0.628
O: 0.010 0.856 0.128
O: 0.041 0.134 0.365
O: 0.041 0.366 0.865
O: 0.050 0.660 0.896
O: 0.050 0.840 0.396
O: 0.237 0.028 0.555
O: 0.237 0.472 0.055
O: 0.240 0.518 0.538
O: 0.240 0.982 0.038
O: 0.280 0.020 0.791
O: 0.280 0.480 0.291
O: 0.305 0.229 0.794
O: 0.305 0.271 0.294
O: 0.307 0.749 0.776
O: 0.307 0.751 0.276
O: 0.322 0.213 0.544
O: 0.322 0.287 0.044
O: 0.363 0.704 0.535
O: 0.363 0.796 0.035
O: 0.387 0.557 0.822
O: 0.387 0.943 0.322
O: 0.402 0.623 0.091
O: 0.402 0.877 0.591
O: 0.429 0.106 0.205
O: 0.429 0.394 0.705
O: 0.571 0.606 0.295
O: 0.571 0.894 0.795
O: 0.598 0.123 0.409
O: 0.598 0.377 0.909
O: 0.613 0.057 0.678
O: 0.613 0.443 0.178
O: 0.637 0.204 0.965
O: 0.637 0.296 0.465
O: 0.678 0.713 0.956
O: 0.678 0.787 0.456
O: 0.693 0.249 0.724
O: 0.693 0.251 0.224
O: 0.695 0.729 0.706
O: 0.695 0.771 0.206
O: 0.720 0.520 0.709
O: 0.720 0.980 0.209
O: 0.760 0.018 0.962
O: 0.760 0.482 0.462
O: 0.763 0.528 0.945
O: 0.763 0.972 0.445
O: 0.950 0.160 0.604
O: 0.950 0.340 0.104
O: 0.959 0.634 0.135
O: 0.959 0.866 0.635
O: 0.990 0.144 0.872
O: 0.990 0.356 0.372
O: 0.995 0.141 0.117
O: 0.995 0.359 0.617

Computed properties:
* final energy: -631.136 eV per cell
* symmetry: P2_1/c (14)

***

[2]
## Sr2CoSbO6 (PBE with a Hubbard U)

Data for Sr2CoSbO6 after structural relaxation.

Lattice parameters (Å, degrees): 5.630 8.100 11.239 90.00 91.09 90.00
Fractional positions:
Sr: 0.000 0.249 0.000
Sr: 0.000 0.751 0.000
Sr: 0.491 0.250 0.750
Sr: 0.491 0.750 0.750
Sr: 0.495 0.251 0.250
Sr: 0.495 0.749 0.250
Sr: 0.986 0.250 0.500
Sr: 0.986 0.750 0.500
Co: 0.489 0.500 0.500
Co: 0.497 0.500 0.000
Co: 0.992 0.000 0.750
Co: 0.994 0.000 0.250
Sb: 0.485 0.000 0.500
Sb: 0.501 0.000 0.000
Sb: 0.990 0.500 0.750
Sb: 0.996 0.500 0.250
O: 0.224 0.000 0.375
O: 0.225 0.000 0.623
O: 0.235 0.500 0.627
O: 0.246 0.500 0.128
O: 0.246 0.500 0.881
O: 0.254 0.500 0.377
O: 0.257 0.000 0.872
O: 0.259 0.000 0.126
O: 0.480 0.245 0.499
O: 0.480 0.755 0.499
O: 0.507 0.245 0.999
O: 0.507 0.755 0.999
O: 0.728 0.000 0.374
O: 0.729 0.000 0.628
O: 0.731 0.500 0.622
O: 0.741 0.500 0.871
O: 0.742 0.500 0.121
O: 0.750 0.500 0.374
O: 0.762 0.000 0.877
O: 0.763 0.000 0.125
O: 0.991 0.255 0.751
O: 0.991 0.745 0.751
O: 0.996 0.255 0.251
O: 0.996 0.745 0.251

Computed properties:
* final energy: -248.457 eV per cell
* symmetry: Pm (6)

***

[3]
## Li3FePCO7 (PBE with a Hubbard U)

Data for Li3FePCO7 after structural relaxation.

Lattice parameters (Å, degrees): 5.034 6.422 8.938 90.00 92.38 90.00
Fractional positions:
Li: 0.000 0.211 0.000
Li: 0.000 0.789 0.000
Li: 0.370 0.271 0.564
Li: 0.370 0.729 0.564
Li: 0.665 0.285 0.240
Li: 0.665 0.715 0.240
Fe: 0.415 0.500 0.923
Fe: 0.961 0.000 0.645
P: 0.491 0.000 0.872
P: 0.869 0.500 0.725
C: 0.225 0.500 0.275
C: 0.913 0.000 0.349
O: 0.145 0.000 0.415
O: 0.330 0.500 0.409
O: 0.384 0.192 0.956
O: 0.384 0.808 0.956
O: 0.397 0.000 0.706
O: 0.397 0.500 0.167
O: 0.560 0.500 0.702
O: 0.701 0.000 0.429
O: 0.801 0.000 0.882
O: 0.875 0.000 0.202
O: 0.927 0.500 0.901
O: 0.972 0.500 0.243
O: 0.996 0.308 0.655
O: 0.996 0.692 0.655

Computed properties:
* final energy: -172.043 eV per cell
* symmetry: Pm (6)
* excess energy over the best structure of this formula in the dataset: 0.067 eV/atom

***

[4]
## Mg6VCO8 (PBE with a Hubbard U)

Data for Mg6VCO8 after structural relaxation.

Lattice parameters (Å, degrees): 4.250 4.250 8.565 90.00 90.00 90.00
Fractional positions:
Mg: 0.000 0.000 0.000
Mg: 0.000 0.500 0.253
Mg: 0.000 0.500 0.747
Mg: 0.500 0.000 0.253
Mg: 0.500 0.000 0.747
Mg: 0.500 0.500 0.000
V: 0.000 0.000 0.500
C: 0.500 0.500 0.500
O: 0.000 0.000 0.249
O: 0.000 0.000 0.751
O: 0.000 0.500 0.000
O: 0.000 0.500 0.500
O: 0.500 0.000 0.000
O: 0.500 0.000 0.500
O: 0.500 0.500 0.247
O: 0.500 0.500 0.753

Computed properties:
* final energy: -96.991 eV per cell
* symmetry: P4/mmm (123)
* excess energy over the best structure of this formula in the dataset: 0.000 eV/atom